# MnHO2, relaxed, DFT GGA+U
# energy with MP2020 corrections = -7.35 eV per atom
# formation energy from the elements = -670 kJ/mol of formula units
data_MnHO2
_space_group_name_H-M_alt 'P n m a'
_space_group_IT_number 62
_cell_length_a 10.9252
_cell_length_b 2.9331
_cell_length_c 4.6073
_cell_angle_alpha 90.00
_cell_angle_beta 90.00
_cell_angle_gamma 90.00
loop_
_space_group_symop_operation_xyz
'x,y,z'
'-x,-y,-z'
'-x+1/2,-y,z+1/2'
'x+1/2,y,-z+1/2'
'x+1/2,-y+1/2,-z+1/2'
'-x+1/2,y+1/2,z+1/2'
'-x,y+1/2,-z'
'x,-y+1/2,z'
loop_
_atom_site_label
_atom_site_fract_x
_atom_site_fract_y
_atom_site_fract_z
Mn1 0.1404 0.2500 0.0539
H1 0.1083 0.7500 0.6004
O1 0.0724 0.7500 0.8063
O2 0.1845 0.7500 0.3068